Entry 1:
{
  "formula": "Te2MoW3Se4S2",
  "functional": "PBE-GGA",
  "state": "optimized geometry",
  "lattice": [[1.671, -2.895, 0.000], [1.671, 2.895, 0.000], [0.000, 0.000, 38.087]],
  "species": ["S", "S", "W", "W", "W", "Mo", "Se", "Se", "Se", "Se", "Te", "Te"],
  "frac_coords": [[0.000, 0.000, 0.322], [0.000, 0.000, 0.242], [0.333, 0.667, 0.282], [0.000, 0.000, 0.470], [0.333, 0.667, 0.658], [0.000, 0.000, 0.094], [0.333, 0.667, 0.514], [0.333, 0.667, 0.426], [0.333, 0.667, 0.138], [0.333, 0.667, 0.050], [0.000, 0.000, 0.708], [0.000, 0.000, 0.608]],
  "total_magnetization_mub_per_cell": 0.0,
  "e_form_mev_per_atom": -573,
  "e_above_lowest_polymorph_mev_per_atom": 21.9,
  "total_energy_ev_per_atom": -7.01,
  "space_group": "P3m1, No. 156"
}



Entry 2:
{
  "formula": "Te2MoW3Se4S2",
  "functional": "PBE-GGA",
  "state": "optimized geometry",
  "lattice": [[1.672, -2.896, 0.000], [1.672, 2.896, 0.000], [0.000, 0.000, 38.055]],
  "species": ["Se", "Se", "Se", "Se", "Te", "Te", "S", "S", "W", "W", "W", "Mo"],
  "frac_coords": [[0.000, 0.000, 0.326], [0.333, 0.667, 0.138], [0.000, 0.000, 0.238], [0.333, 0.667, 0.050], [0.000, 0.000, 0.607], [0.000, 0.000, 0.708], [0.333, 0.667, 0.430], [0.333, 0.667, 0.510], [0.000, 0.000, 0.470], [0.333, 0.667, 0.658], [0.333, 0.667, 0.282], [0.000, 0.000, 0.094]],
  "total_magnetization_mub_per_cell": 0.0,
  "e_form_mev_per_atom": -574,
  "e_above_lowest_polymorph_mev_per_atom": 21.4,
  "total_energy_ev_per_atom": -7.01,
  "space_group": "P3m1, No. 156"
}



Entry 3:
{
  "formula": "Te2Mo3WSe2S4",
  "functional": "PBE-GGA",
  "state": "optimized geometry",
  "lattice": [[1.653, -2.863, 0.000], [1.653, 2.863, 0.000], [0.000, 0.000, 37.602]],
  "species": ["S", "S", "S", "S", "Se", "Se", "Mo", "Mo", "Mo", "Te", "Te", "W"],
  "frac_coords": [[0.333, 0.667, 0.053], [0.333, 0.667, 0.135], [0.333, 0.667, 0.429], [0.333, 0.667, 0.510], [0.000, 0.000, 0.613], [0.000, 0.000, 0.702], [0.000, 0.000, 0.094], [0.333, 0.667, 0.282], [0.333, 0.667, 0.658], [0.000, 0.000, 0.231], [0.000, 0.000, 0.333], [0.000, 0.000, 0.470]],
  "total_magnetization_mub_per_cell": 0.0,
  "e_form_mev_per_atom": -772,
  "e_above_lowest_polymorph_mev_per_atom": 1.3,
  "total_energy_ev_per_atom": -6.88,
  "space_group": "P3m1, No. 156"
}



Please write out number 1 again, unchanged.
{
  "formula": "Te2MoW3Se4S2",
  "functional": "PBE-GGA",
  "state": "optimized geometry",
  "lattice": [[1.671, -2.895, 0.000], [1.671, 2.895, 0.000], [0.000, 0.000, 38.087]],
  "species": ["S", "S", "W", "W", "W", "Mo", "Se", "Se", "Se", "Se", "Te", "Te"],
  "frac_coords": [[0.000, 0.000, 0.322], [0.000, 0.000, 0.242], [0.333, 0.667, 0.282], [0.000, 0.000, 0.470], [0.333, 0.667, 0.658], [0.000, 0.000, 0.094], [0.333, 0.667, 0.514], [0.333, 0.667, 0.426], [0.333, 0.667, 0.138], [0.333, 0.667, 0.050], [0.000, 0.000, 0.708], [0.000, 0.000, 0.608]],
  "total_magnetization_mub_per_cell": 0.0,
  "e_form_mev_per_atom": -573,
  "e_above_lowest_polymorph_mev_per_atom": 21.9,
  "total_energy_ev_per_atom": -7.01,
  "space_group": "P3m1, No. 156"
}